{"formula": "Li3CrPCO7", "functional": "PBE+U", "state": "optimized geometry", "spacegroup": "P2_1/c (14)", "corrected_energy_ev_per_cell": -382.34, "relative_energy_ev_per_fu": 0.14, "cell": [[6.4761, 0.0000, 0.0000], [0.0000, 9.5121, 0.0000], [0.0000, 4.4210, 8.9500]], "species": ["Li", "Li", "Li", "Li", "Li", "Li", "Li", "Li", "Li", "Li", "Li", "Li", "Cr", "Cr", "Cr", "Cr", "P", "P", "P", "P", "C", "C", "C", "C", "O", "O", "O", "O", "O", "O", "O", "O", "O", "O", "O", "O", "O", "O", "O", "O", "O", "O", "O", "O", "O", "O", "O", "O", "O", "O", "O", "O"], "frac_coords": [[0.2422, 0.1100, 0.5588], [0.2578, 0.1100, 0.0588], [0.4784, 0.2948, 0.7366], [0.0216, 0.2948, 0.2366], [0.7444, 0.3561, 0.9339], [0.7556, 0.3561, 0.4339], [0.2444, 0.6439, 0.5661], [0.2556, 0.6439, 0.0661], [0.9784, 0.7052, 0.7634], [0.5216, 0.7052, 0.2634], [0.7422, 0.8900, 0.9412], [0.7578, 0.8900, 0.4412], [0.9857, 0.2590, 0.7465], [0.5143, 0.2590, 0.2465], [0.4857, 0.7410, 0.7535], [0.0143, 0.7410, 0.2535], [0.2493, 0.4113, 0.9327], [0.2507, 0.4113, 0.4327], [0.7493, 0.5887, 0.5673], [0.7507, 0.5887, 0.0673], [0.7473, 0.0383, 0.6278], [0.7527, 0.0383, 0.1278], [0.2473, 0.9617, 0.8722], [0.2527, 0.9617, 0.3722], [0.7566, 0.0625, 0.9915], [0.7434, 0.0625, 0.4915], [0.2297, 0.1062, 0.7630], [0.7655, 0.1520, 0.6650], [0.2703, 0.1062, 0.2630], [0.7345, 0.1520, 0.1650], [0.0591, 0.3152, 0.9226], [0.4383, 0.3130, 0.9303], [0.0617, 0.3130, 0.4303], [0.4409, 0.3152, 0.4226], [0.7488, 0.4207, 0.7005], [0.2605, 0.4260, 0.5812], [0.7512, 0.4207, 0.2005], [0.2395, 0.4260, 0.0812], [0.7605, 0.5740, 0.9188], [0.2488, 0.5793, 0.7995], [0.7395, 0.5740, 0.4188], [0.2512, 0.5793, 0.2995], [0.9383, 0.6870, 0.5697], [0.5591, 0.6848, 0.5774], [0.9409, 0.6848, 0.0774], [0.5617, 0.6870, 0.0697], [0.2655, 0.8480, 0.8350], [0.7297, 0.8938, 0.7370], [0.2345, 0.8480, 0.3350], [0.7703, 0.8938, 0.2370], [0.2566, 0.9375, 0.5085], [0.2434, 0.9375, 0.0085]]}

***

{"formula": "Li9Cr4P4C4O28", "functional": "PBE+U", "state": "optimized geometry", "spacegroup": "P1 (1)", "corrected_energy_ev_per_cell": -371.14, "cell": [[-5.1120, 6.1594, -1.6808], [-5.0197, -6.3433, 1.5113], [4.0669, 2.1998, 8.1732]], "species": ["Li", "Li", "Li", "Li", "Li", "Li", "Li", "Li", "Li", "Cr", "Cr", "Cr", "Cr", "P", "P", "P", "P", "C", "C", "C", "C", "O", "O", "O", "O", "O", "O", "O", "O", "O", "O", "O", "O", "O", "O", "O", "O", "O", "O", "O", "O", "O", "O", "O", "O", "O", "O", "O", "O"], "frac_coords": [[0.4352, 0.6799, 0.8946], [0.9392, 0.1788, 0.8964], [0.4953, 0.9611, 0.7189], [0.0020, 0.4656, 0.7187], [0.7966, 0.7391, 0.2872], [0.2798, 0.2562, 0.2715], [0.5113, 0.0327, 0.2726], [0.5598, 0.3059, 0.0923], [0.0578, 0.8084, 0.1036], [0.0611, 0.8120, 0.6745], [0.5609, 0.3146, 0.6741], [0.9376, 0.1909, 0.3250], [0.4329, 0.6844, 0.3255], [0.7999, 0.0556, 0.5807], [0.3038, 0.5525, 0.5814], [0.6963, 0.4401, 0.4174], [0.1983, 0.9517, 0.4136], [0.7527, 0.5101, 0.9529], [0.2655, 0.0054, 0.9714], [0.7369, 0.9969, 0.0460], [0.2409, 0.4919, 0.0438], [0.1256, 0.8764, 0.9503], [0.6094, 0.3699, 0.9176], [0.6202, 0.9040, 0.9085], [0.7922, 0.5201, 0.8291], [0.1225, 0.4027, 0.9060], [0.2979, 0.0240, 0.8479], [0.9132, 0.9840, 0.6891], [0.4276, 0.4861, 0.6917], [0.7068, 0.1493, 0.6890], [0.2140, 0.6419, 0.6923], [0.8480, 0.5685, 0.5721], [0.9169, 0.1998, 0.5372], [0.4194, 0.6992, 0.5386], [0.3477, 0.0824, 0.5746], [0.6570, 0.9086, 0.4201], [0.5502, 0.3088, 0.4512], [0.0485, 0.8234, 0.4362], [0.1693, 0.4006, 0.4241], [0.6026, 0.5383, 0.3164], [0.7600, 0.3220, 0.2971], [0.2837, 0.8467, 0.3016], [0.1110, 0.0503, 0.3089], [0.7212, 0.9675, 0.1743], [0.8413, 0.6272, 0.0925], [0.2318, 0.4526, 0.1687], [0.3747, 0.1194, 0.1146], [0.3822, 0.6347, 0.0800], [0.8822, 0.1329, 0.0794]]}

***

{"formula": "Li12V3CrP4C4O28", "functional": "PBE+U", "state": "optimized geometry", "spacegroup": "Pm (6)", "corrected_energy_ev_per_cell": -382.59, "cell": [[6.5888, 0.0000, 0.0000], [0.0000, 8.5404, 0.0000], [0.0000, 0.8696, 9.9716]], "species": ["Li", "Li", "Li", "Li", "Li", "Li", "Li", "Li", "Li", "Li", "Li", "Li", "V", "V", "V", "Cr", "P", "P", "P", "P", "C", "C", "C", "C", "O", "O", "O", "O", "O", "O", "O", "O", "O", "O", "O", "O", "O", "O", "O", "O", "O", "O", "O", "O", "O", "O", "O", "O", "O", "O", "O", "O"], "frac_coords": [[0.0000, 0.8984, 0.6188], [0.0000, 0.9044, 0.1158], [0.2235, 0.7210, 0.8754], [0.7765, 0.7210, 0.8754], [0.2217, 0.7228, 0.3753], [0.7783, 0.7228, 0.3753], [0.7272, 0.2780, 0.6256], [0.2728, 0.2780, 0.6256], [0.7243, 0.2783, 0.1240], [0.2757, 0.2783, 0.1240], [0.5000, 0.0966, 0.8838], [0.5000, 0.0938, 0.3832], [0.5000, 0.6708, 0.6045], [0.5000, 0.6716, 0.1032], [0.0000, 0.3297, 0.8969], [0.0000, 0.3340, 0.3924], [0.0000, 0.5874, 0.6407], [0.0000, 0.5918, 0.1382], [0.5000, 0.4112, 0.8601], [0.5000, 0.4130, 0.3591], [0.5000, 0.9646, 0.6514], [0.5000, 0.9648, 0.1514], [0.0000, 0.0364, 0.8489], [0.0000, 0.0306, 0.3520], [0.5000, 0.9249, 0.5288], [0.0000, 0.8907, 0.8214], [0.5000, 0.9260, 0.0284], [0.5000, 0.8515, 0.7482], [0.0000, 0.8873, 0.3170], [0.5000, 0.8515, 0.2477], [0.1827, 0.6902, 0.5878], [0.8173, 0.6902, 0.5878], [0.1831, 0.6927, 0.0830], [0.8169, 0.6927, 0.0830], [0.5000, 0.5773, 0.9107], [0.0000, 0.5689, 0.7976], [0.5000, 0.5782, 0.4109], [0.0000, 0.5784, 0.2942], [0.5000, 0.4311, 0.7033], [0.0000, 0.4215, 0.5899], [0.5000, 0.4320, 0.2026], [0.0000, 0.4234, 0.0913], [0.3174, 0.3084, 0.9130], [0.6826, 0.3084, 0.9130], [0.6854, 0.3112, 0.4112], [0.3146, 0.3112, 0.4112], [0.0000, 0.1496, 0.7529], [0.5000, 0.1100, 0.6785], [0.0000, 0.1478, 0.2584], [0.0000, 0.0751, 0.9720], [0.5000, 0.1101, 0.1790], [0.0000, 0.0603, 0.4759]]}

***

What did the third record say?
{"formula": "Li12V3CrP4C4O28", "functional": "PBE+U", "state": "optimized geometry", "spacegroup": "Pm (6)", "corrected_energy_ev_per_cell": -382.59, "cell": [[6.5888, 0.0000, 0.0000], [0.0000, 8.5404, 0.0000], [0.0000, 0.8696, 9.9716]], "species": ["Li", "Li", "Li", "Li", "Li", "Li", "Li", "Li", "Li", "Li", "Li", "Li", "V", "V", "V", "Cr", "P", "P", "P", "P", "C", "C", "C", "C", "O", "O", "O", "O", "O", "O", "O", "O", "O", "O", "O", "O", "O", "O", "O", "O", "O", "O", "O", "O", "O", "O", "O", "O", "O", "O", "O", "O"], "frac_coords": [[0.0000, 0.8984, 0.6188], [0.0000, 0.9044, 0.1158], [0.2235, 0.7210, 0.8754], [0.7765, 0.7210, 0.8754], [0.2217, 0.7228, 0.3753], [0.7783, 0.7228, 0.3753], [0.7272, 0.2780, 0.6256], [0.2728, 0.2780, 0.6256], [0.7243, 0.2783, 0.1240], [0.2757, 0.2783, 0.1240], [0.5000, 0.0966, 0.8838], [0.5000, 0.0938, 0.3832], [0.5000, 0.6708, 0.6045], [0.5000, 0.6716, 0.1032], [0.0000, 0.3297, 0.8969], [0.0000, 0.3340, 0.3924], [0.0000, 0.5874, 0.6407], [0.0000, 0.5918, 0.1382], [0.5000, 0.4112, 0.8601], [0.5000, 0.4130, 0.3591], [0.5000, 0.9646, 0.6514], [0.5000, 0.9648, 0.1514], [0.0000, 0.0364, 0.8489], [0.0000, 0.0306, 0.3520], [0.5000, 0.9249, 0.5288], [0.0000, 0.8907, 0.8214], [0.5000, 0.9260, 0.0284], [0.5000, 0.8515, 0.7482], [0.0000, 0.8873, 0.3170], [0.5000, 0.8515, 0.2477], [0.1827, 0.6902, 0.5878], [0.8173, 0.6902, 0.5878], [0.1831, 0.6927, 0.0830], [0.8169, 0.6927, 0.0830], [0.5000, 0.5773, 0.9107], [0.0000, 0.5689, 0.7976], [0.5000, 0.5782, 0.4109], [0.0000, 0.5784, 0.2942], [0.5000, 0.4311, 0.7033], [0.0000, 0.4215, 0.5899], [0.5000, 0.4320, 0.2026], [0.0000, 0.4234, 0.0913], [0.3174, 0.3084, 0.9130], [0.6826, 0.3084, 0.9130], [0.6854, 0.3112, 0.4112], [0.3146, 0.3112, 0.4112], [0.0000, 0.1496, 0.7529], [0.5000, 0.1100, 0.6785], [0.0000, 0.1478, 0.2584], [0.0000, 0.0751, 0.9720], [0.5000, 0.1101, 0.1790], [0.0000, 0.0603, 0.4759]]}

***

- Which formula does entry 2 have?
  Li9Cr4P4C4O28